Record 1
Below is an optimized crystal structure of Na3La2Y2P3S3O24, with properties calculated at the PBE level.

```
Na3La2Y2P3S3O24
1.0
-8.332 3.480 -2.527
0.557 -8.441 4.034
-2.281 10.330 22.394
O P S Na Y La
72 9 9 9 6 6
Cartesian
-0.579 0.448 5.297 O
-3.803 -0.164 15.571 O
-4.535 2.694 22.111 O
-5.221 7.144 13.445 O
-0.826 -4.155 4.144 O
-4.070 4.920 17.920 O
-4.019 -4.686 4.045 O
-5.270 -0.603 12.500 O
-6.935 -0.714 7.801 O
-1.455 -5.559 7.915 O
-4.799 3.115 9.598 O
-4.764 -1.835 10.455 O
-7.307 8.802 15.676 O
-0.510 -2.642 12.371 O
-2.226 3.134 9.485 O
-3.184 6.119 16.047 O
-5.711 2.512 1.847 O
-8.444 10.979 16.072 O
-5.911 0.385 5.895 O
-7.087 -1.367 11.111 O
-1.723 -0.689 7.198 O
-3.526 0.965 9.108 O
-3.325 2.050 11.402 O
-2.573 2.543 19.203 O
-8.309 5.252 21.796 O
-3.024 6.661 23.121 O
-7.867 3.143 9.254 O
-8.541 6.644 13.300 O
-3.126 1.674 24.012 O
-6.926 -1.276 0.844 O
-6.348 5.455 8.298 O
-6.553 3.324 12.409 O
-5.299 2.307 14.244 O
-5.740 1.530 -0.504 O
-3.698 -0.667 0.956 O
-2.444 3.586 6.275 O
-9.626 5.097 18.530 O
-7.116 3.593 0.013 O
-9.056 9.614 19.915 O
-7.244 -0.045 2.926 O
-1.986 7.807 21.271 O
-7.652 1.673 17.711 O
-8.185 5.721 10.943 O
-4.365 3.813 24.372 O
-6.367 6.088 23.059 O
-6.056 5.418 20.637 O
-9.359 7.922 11.256 O
-6.571 4.284 14.657 O
-8.742 4.930 5.106 O
-7.307 7.531 21.147 O
-7.489 2.801 4.596 O
-4.329 2.714 4.933 O
-2.859 -1.925 2.867 O
-3.017 6.552 12.617 O
-4.049 0.126 3.247 O
-2.770 -3.432 8.365 O
-2.179 2.330 14.583 O
-1.828 0.172 2.207 O
-3.549 7.288 18.155 O
-8.479 6.154 16.743 O
-7.862 -2.398 2.760 O
-7.724 2.192 14.168 O
-1.797 -0.567 12.909 O
-5.431 6.630 16.838 O
-4.966 5.917 11.349 O
-2.571 5.439 21.056 O
-1.476 -1.179 10.477 O
-6.248 10.113 20.004 O
-5.621 2.485 18.901 O
-6.522 -1.988 5.765 O
-1.284 0.546 18.864 O
-4.645 -1.259 7.120 O
-3.503 2.314 9.882 P
-0.439 0.136 6.815 P
-9.140 6.513 11.882 P
-3.015 3.575 4.828 P
-6.981 1.770 19.107 P
-4.398 2.456 23.639 P
-7.004 6.105 21.646 P
-5.796 2.841 0.336 P
-0.833 -1.214 11.897 P
-4.058 6.239 17.240 S
-7.792 -1.094 2.040 S
-6.534 3.037 13.872 S
-3.119 -0.566 2.324 S
-1.328 1.833 19.589 S
-4.392 6.969 12.232 S
-6.028 -0.907 6.653 S
-5.703 -1.676 11.590 S
-2.106 6.489 21.978 S
-7.201 8.082 18.375 Na
-2.772 -2.905 5.689 Na
-6.125 2.950 7.138 Na
0.543 -8.346 4.028 Na
-3.335 0.845 6.184 Na
-3.926 2.426 16.791 Na
-7.807 11.694 18.901 Na
-0.652 -3.237 15.180 Na
-8.941 5.082 8.087 Na
-6.444 4.418 10.453 Y
-3.032 -1.259 8.962 Y
-8.655 4.995 0.867 Y
-5.860 1.571 3.738 Y
-7.577 9.671 21.751 Y
-0.319 -4.790 11.798 Y
-3.498 0.883 13.365 La
-9.730 10.074 12.024 La
-2.516 -4.318 2.319 La
-6.996 6.658 14.917 La
-4.363 3.953 20.185 La
-1.408 0.404 23.053 La
```

V: 1881 Å³/cell
E (MP2020): -842.050 eV per cell

=====

Record 2
Below is an optimized crystal structure of Na2LaZnPS2O12, with properties calculated at the PBE level.

```
Na2LaZnPS2O12
1.0
-1.371 8.599 -3.499
-4.087 -7.376 -3.942
-18.807 2.631 13.838
O La S Na P Zn
72 6 12 12 6 6
Cartesian
-13.147 -0.971 5.571 O
-14.670 6.621 4.276 O
-10.003 1.972 -1.732 O
-13.218 3.141 2.955 O
-18.284 -0.020 9.821 O
-11.286 4.603 0.567 O
-21.694 2.093 8.712 O
-8.202 0.475 -0.929 O
-4.991 -5.652 -1.997 O
-6.207 2.443 3.333 O
-16.358 -3.932 6.587 O
-17.027 -1.838 7.466 O
-9.678 -2.983 1.931 O
-14.375 2.113 8.033 O
-15.187 3.301 4.595 O
-5.948 3.522 1.012 O
-11.063 0.628 3.701 O
-2.585 1.580 -2.398 O
-11.308 -4.780 2.232 O
-9.869 2.655 2.937 O
-11.752 -2.595 3.165 O
-19.678 2.070 7.329 O
-12.865 0.866 -1.048 O
-7.852 7.719 0.019 O
-3.851 4.909 -0.910 O
-18.045 1.247 11.896 O
-4.049 -0.370 -2.128 O
-7.129 5.511 -0.680 O
-13.047 4.926 6.537 O
-8.695 -2.940 -0.944 O
-13.311 -0.222 1.203 O
-5.769 -1.909 -3.973 O
-9.415 5.737 3.011 O
-12.565 6.510 3.049 O
-11.017 4.406 5.276 O
-17.407 5.106 5.455 O
-15.636 6.621 7.205 O
-13.225 8.584 3.909 O
-6.038 7.487 -1.608 O
-16.226 2.581 9.564 O
-2.742 7.020 -1.577 O
-16.426 8.870 8.172 O
-19.633 4.712 4.608 O
-20.449 -1.165 7.378 O
-18.289 1.354 2.954 O
-11.288 -0.959 -0.160 O
-2.755 0.581 -0.289 O
-15.478 2.454 2.159 O
-19.831 7.475 8.430 O
-8.027 1.475 -3.067 O
-11.348 3.334 7.377 O
-7.859 2.880 -1.094 O
-14.295 1.019 3.843 O
-21.373 -3.435 8.156 O
-8.064 -5.115 -1.868 O
-15.005 -1.648 3.375 O
-1.909 4.945 -2.397 O
-22.337 -1.276 9.086 O
-18.412 0.339 5.176 O
-4.427 -3.210 -1.890 O
-20.229 0.455 11.226 O
-6.123 4.114 -3.189 O
-18.579 5.553 10.539 O
-16.049 3.797 7.472 O
-4.704 1.779 -1.207 O
-16.576 1.444 7.402 O
-21.752 3.059 6.497 O
-4.102 3.629 -4.697 O
-8.833 1.133 4.489 O
-20.408 4.153 8.204 O
-6.885 -1.678 1.218 O
-9.175 0.512 2.151 O
-12.226 1.754 8.935 La
-20.839 5.784 9.841 La
-18.541 -0.024 7.459 La
-9.165 -1.168 0.470 La
-4.175 8.922 -1.436 La
-11.440 4.498 2.910 La
-7.309 6.927 -1.104 S
-3.565 0.879 -1.525 S
-20.900 2.835 7.717 S
-9.744 1.199 3.321 S
-18.772 0.161 11.198 S
-2.561 5.589 -1.223 S
-8.546 1.701 -1.698 S
-15.797 2.498 8.153 S
-10.686 -3.565 2.867 S
-18.316 5.310 4.288 S
-11.596 4.596 6.635 S
-13.786 7.320 3.308 S
-17.402 2.691 5.480 Na
-22.592 -4.585 9.755 Na
-5.795 -4.274 -3.758 Na
-14.514 2.414 -0.547 Na
-6.021 -1.512 -1.628 Na
-8.177 4.190 0.930 Na
-8.230 3.761 4.354 Na
-18.121 8.130 10.031 Na
-15.687 0.099 1.916 Na
-17.582 5.514 7.845 Na
-7.131 -4.059 0.773 Na
-15.395 -0.382 5.366 Na
-5.226 3.145 2.336 P
-15.190 7.974 7.825 P
-21.700 -1.962 7.820 P
-12.747 -0.451 -0.249 P
-14.547 2.520 3.424 P
-5.592 4.015 -4.638 P
-5.625 3.720 -1.064 Zn
-12.840 -0.206 3.167 Zn
-3.289 -2.450 -3.374 Zn
-15.991 2.324 11.661 Zn
-15.047 5.155 5.807 Zn
-7.924 9.390 1.332 Zn
```

V: 1773 Å³/cell
E (MP2020): -768.409 eV per cell

=====

Record 3
Below is an optimized crystal structure of Na5La2Zn2P3S3O24, with properties calculated at the PBE level.

```
Na5La2Zn2P3S3O24
1.0
-5.534 -3.234 6.875
9.288 -0.659 0.781
0.937 21.133 10.565
O La S Na P Zn
72 6 9 15 9 6
Cartesian
4.322 17.614 10.181 O
-1.456 2.384 8.500 O
4.262 16.190 15.838 O
0.906 7.217 7.864 O
1.038 13.955 11.497 O
1.021 12.848 14.015 O
-0.808 9.732 8.812 O
3.318 14.577 10.586 O
6.030 8.921 6.469 O
1.294 8.163 5.640 O
3.518 3.216 6.967 O
6.547 10.527 9.334 O
0.444 5.705 10.895 O
5.343 -0.434 4.930 O
-2.551 -1.573 5.010 O
5.521 5.296 8.343 O
3.655 9.301 12.315 O
5.502 11.554 13.547 O
-3.249 3.253 10.048 O
4.296 19.663 11.513 O
3.231 1.170 8.107 O
0.554 -0.968 3.720 O
-0.988 10.384 13.130 O
-1.353 8.192 11.863 O
3.051 3.230 9.391 O
-2.355 0.704 5.897 O
-0.888 3.508 6.048 O
1.972 11.148 11.553 O
6.076 15.177 9.322 O
7.856 14.245 8.062 O
2.701 6.413 6.534 O
2.339 12.294 6.373 O
4.322 18.173 14.447 O
-2.007 6.601 9.214 O
2.474 19.200 9.964 O
7.076 16.669 12.282 O
9.047 18.121 11.559 O
1.299 2.629 7.840 O
0.742 1.044 2.535 O
2.846 8.684 7.415 O
0.838 1.092 4.990 O
6.398 3.771 5.647 O
7.557 1.285 1.643 O
-0.645 5.662 4.620 O
0.166 -0.206 8.064 O
-0.542 17.870 13.198 O
0.236 -2.449 6.839 O
2.209 16.920 14.747 O
5.853 6.879 5.132 O
-0.525 11.778 7.674 O
7.957 8.113 5.192 O
-0.995 11.797 10.091 O
3.942 15.986 13.435 O
8.175 2.780 4.255 O
4.362 11.390 7.565 O
2.604 13.276 15.794 O
-0.890 16.472 15.946 O
5.707 13.672 12.334 O
3.791 10.294 10.006 O
3.965 4.660 3.964 O
1.597 13.780 8.994 O
7.266 19.086 13.086 O
5.397 7.619 9.459 O
4.972 -1.383 7.152 O
4.957 5.469 10.822 O
5.225 0.836 2.440 O
2.710 0.187 3.701 O
-3.476 14.349 14.136 O
1.306 16.068 10.093 O
-1.528 13.378 12.837 O
2.154 4.106 2.302 O
1.853 8.782 10.636 O
5.201 15.766 11.477 La
4.668 5.203 6.237 La
0.210 3.152 1.614 La
4.354 9.887 14.542 La
-0.101 7.819 9.995 La
0.456 18.377 15.303 La
1.245 0.348 3.775 S
-3.299 -0.336 5.367 S
3.929 19.043 10.219 S
6.489 8.225 5.244 S
-1.269 11.135 8.788 S
3.692 16.854 14.630 S
1.930 7.627 6.881 S
2.768 2.577 8.089 S
1.653 12.291 15.245 S
-0.306 4.596 8.041 Na
5.007 12.388 9.695 Na
-3.087 3.257 7.057 Na
3.016 13.249 12.647 Na
5.812 9.407 11.419 Na
-2.327 5.429 11.188 Na
-1.543 12.290 14.941 Na
4.019 6.530 12.646 Na
0.126 15.146 13.250 Na
4.292 1.866 4.304 Na
2.152 11.156 8.539 Na
-2.748 16.955 14.410 Na
0.567 1.461 9.895 Na
7.272 0.086 3.631 Na
10.025 20.224 11.272 Na
1.767 14.612 10.295 P
-1.616 8.962 13.183 P
2.788 9.881 11.155 P
-1.319 4.277 4.763 P
-2.433 1.975 9.667 P
-3.075 13.599 12.839 P
5.754 6.105 9.646 P
8.053 17.792 12.704 P
0.518 -1.720 8.157 P
0.701 17.735 9.281 Zn
4.571 -1.090 2.584 Zn
0.402 7.149 3.679 Zn
0.011 11.979 11.967 Zn
4.781 9.278 8.356 Zn
-0.451 1.395 6.845 Zn
```

V: 1798 Å³/cell
E (MP2020): -791.786 eV per cell

=====

Record 4
Below is an optimized crystal structure of NaLaZrP2SO12, with properties calculated at the PBE level.

```
NaLaZrP2SO12
1.0
-5.045 5.911 -4.965
-0.094 -9.006 -2.062
-18.656 -3.455 14.843
Na O S Zr P La
6 72 6 6 12 6
Cartesian
-14.193 -6.178 6.820 Na
-18.807 -1.952 8.470 Na
-18.762 -12.302 12.736 Na
-9.625 -0.053 0.905 Na
-4.720 -4.621 -0.458 Na
-14.333 -4.834 0.493 Na
-12.151 -9.796 5.665 O
-12.239 -0.303 5.412 O
-4.827 -8.425 -0.114 O
-9.806 -3.279 -1.223 O
-17.852 -10.936 10.777 O
-3.714 -2.522 2.507 O
-14.064 -3.052 8.922 O
-14.280 -0.396 6.755 O
-17.483 -0.070 7.140 O
-16.330 -2.422 8.053 O
-5.757 -4.631 -4.643 O
-8.599 -3.388 2.804 O
-10.231 -1.749 3.334 O
-5.707 2.215 -1.410 O
-2.925 -0.356 -2.463 O
-8.715 1.312 -1.054 O
-16.874 -7.338 6.752 O
-4.048 -5.164 -3.021 O
-5.050 -0.840 -1.185 O
-21.172 -6.045 7.730 O
-16.016 -3.120 10.530 O
-11.043 -3.873 8.269 O
-18.848 -6.521 12.670 O
-7.583 -3.671 -0.250 O
-19.558 -1.577 11.089 O
-5.470 -4.246 2.161 O
-14.799 -7.873 9.249 O
-2.692 -1.000 -0.114 O
-11.542 -6.002 2.553 O
-17.107 -6.694 4.403 O
-10.275 -3.909 4.506 O
-4.031 2.736 -3.112 O
-8.522 -2.282 4.956 O
-17.269 -4.690 12.949 O
-6.990 0.293 0.865 O
-7.964 -8.863 4.128 O
-12.795 -7.572 4.972 O
-9.618 -6.965 4.731 O
-19.888 -4.122 5.456 O
-15.106 -3.006 5.235 O
-13.283 -4.812 4.862 O
-12.306 -1.213 0.836 O
-11.856 -5.304 0.076 O
-15.775 -4.830 8.622 O
-19.137 1.829 7.743 O
-13.168 -9.512 8.719 O
-6.569 -6.755 0.292 O
-11.206 1.294 2.706 O
-18.915 -5.756 8.814 O
-6.974 0.122 -3.362 O
-21.671 -1.003 8.677 O
-13.327 -2.735 3.457 O
-11.559 -5.831 6.780 O
-15.084 -4.459 3.111 O
-8.226 -1.448 -0.943 O
-16.292 -0.326 4.353 O
-17.896 -8.860 9.372 O
-2.243 -5.091 -0.874 O
-7.765 -3.186 -2.565 O
-6.732 -1.588 -5.271 O
-9.590 -5.934 0.945 O
-18.135 -2.495 5.906 O
-6.678 -0.112 3.403 O
-20.860 -6.450 10.269 O
-3.396 -2.739 -1.788 O
-10.538 3.118 -0.680 O
-16.807 -6.428 11.327 O
-20.656 -4.086 9.219 O
-19.674 -9.130 11.151 O
-14.346 0.368 2.899 O
-5.022 0.190 -4.971 O
-7.494 -6.481 3.452 O
-12.822 -0.036 6.724 S
-9.419 -2.843 3.883 S
-4.851 3.281 -2.032 S
-19.033 -3.057 4.834 S
-8.348 -2.918 -1.253 S
-17.391 -6.160 12.640 S
-16.175 -1.448 6.137 Zr
-2.088 -4.117 -2.791 Zr
-11.409 -5.852 4.637 Zr
-6.562 -1.235 5.187 Zr
-6.841 0.272 -1.279 Zr
-15.883 -2.970 12.614 Zr
-15.838 0.546 3.104 P
-17.608 1.439 7.552 P
-6.495 -0.135 -4.864 P
-9.641 2.371 -1.770 P
-14.210 -3.753 4.146 P
-20.407 -5.578 9.019 P
-11.064 -6.259 1.052 P
-15.538 -3.377 9.029 P
-6.225 0.759 2.153 P
-18.778 -9.877 10.061 P
-8.089 -7.354 4.540 P
-3.521 -1.229 -1.375 P
-2.787 -0.484 2.112 La
-7.556 -5.194 1.639 La
-21.644 -2.525 10.567 La
-17.076 3.599 4.651 La
-16.969 -6.822 8.977 La
-12.401 -0.698 3.062 La
```

V: 1779 Å³/cell
E (MP2020): -850.846 eV per cell